Entry 1:
DFT (PBE with a Hubbard U) results for a relaxed Ni17As6O32 crystal.

- Energy above the lowest structure with this stoichiometry: 5 meV/atom
- Space group: No. 10

Lattice parameters (Å, degrees): 9.9281 6.0275 10.3706 90.00 69.49 90.00
Closest atoms and distances in Å follow each position.
Fractional positions:
1 O 0.3713 0.2373 0.1304  1 As 1.71
2 Ni 0.7437 0.7565 0.5045  6 O 2.04-2.15
3 Ni 0.2640 0.2517 0.9957  6 O 2.03-2.15
4 O 0.1150 0.5000 0.6106  1 As 1.88
5 Ni 0.7360 0.7483 0.0043  6 O 2.03-2.15
6 O 0.1147 0.2212 0.8887  1 As 1.87
7 O 0.8840 0.0000 0.8908  1 As 1.88
8 Ni 0.7360 0.2517 0.0043  6 O 2.03-2.15
9 Ni 0.0000 0.5000 0.0000  6 O 2.09-2.13
10 O 0.8812 0.7129 0.6153  1 As 1.87, 3 Ni 2.05-2.09
11 As 0.5758 0.5000 0.3101  4 O 1.71-1.76
12 As 0.5785 0.0000 0.8076  4 O 1.71-1.77
13 O 0.8850 0.5000 0.3894  1 As 1.88
14 O 0.3865 0.5000 0.3726  1 As 1.76
15 Ni 0.2659 0.0000 0.7450  6 O 1.99-2.16
16 As 0.0000 0.0000 0.0000  6 O 1.87-1.88
17 O 0.1188 0.7129 0.3847  1 As 1.87, 3 Ni 2.05-2.09
18 O 0.3704 0.5000 0.8670  1 As 1.72
19 Ni 0.2563 0.7565 0.4955  6 O 2.04-2.15
20 Ni 0.7341 0.0000 0.2550  6 O 1.99-2.16
21 O 0.1289 0.5000 0.1218  6 Ni 2.09-2.18
22 O 0.6120 0.0000 0.1282  1 As 1.77
23 Ni 0.2599 0.5000 0.2489  6 O 2.05-2.15
24 O 0.3718 0.0000 0.3676  1 As 1.71
25 O 0.1147 0.7788 0.8887  1 As 1.87
26 O 0.1188 0.2871 0.3847  1 As 1.87, 3 Ni 2.05-2.09
27 O 0.6294 0.7356 0.3701  1 As 1.71
28 Ni 0.9993 0.2422 0.7418  6 O 2.06-2.21
29 Ni 0.2563 0.2435 0.4955  6 O 2.04-2.15
30 O 0.6294 0.2644 0.3701  1 As 1.71
31 O 0.8812 0.2871 0.6153  1 As 1.87, 3 Ni 2.05-2.09
32 Ni 0.9993 0.7578 0.7418  6 O 2.06-2.21
33 O 0.6296 0.5000 0.1330  1 As 1.72
34 Ni 0.0007 0.2422 0.2582  6 O 2.06-2.21
35 Ni 0.2640 0.7483 0.9957  6 O 2.03-2.15
36 O 0.1160 0.0000 0.1092  1 As 1.88
37 O 0.8711 0.5000 0.8782  6 Ni 2.09-2.18
38 Ni 0.7437 0.2435 0.5045  6 O 2.04-2.15
39 As 0.4215 0.0000 0.1924  4 O 1.71-1.77
40 O 0.6287 0.2373 0.8696  1 As 1.71
41 O 0.6287 0.7627 0.8696  1 As 1.71
42 O 0.1391 0.0000 0.6325  5 Ni 1.99-2.09
43 O 0.8609 0.0000 0.3675  5 Ni 1.99-2.09
44 O 0.3706 0.2644 0.6299  1 As 1.71
45 O 0.6282 0.0000 0.6324  1 As 1.71
46 Ni 0.0007 0.7578 0.2582  6 O 2.06-2.21
47 O 0.3706 0.7356 0.6299  1 As 1.71
48 O 0.8853 0.2212 0.1113  1 As 1.87
49 As 0.4242 0.5000 0.6899  4 O 1.71-1.76
50 O 0.6135 0.5000 0.6274  1 As 1.76
51 O 0.8853 0.7788 0.1113  1 As 1.87
52 O 0.3713 0.7627 0.1304  1 As 1.71
53 O 0.3880 0.0000 0.8718  1 As 1.77
54 As 0.0000 0.5000 0.5000  6 O 1.87-1.88
55 Ni 0.7401 0.5000 0.7511  6 O 2.05-2.15

---

Entry 2:
DFT (PBE with a Hubbard U) results for a relaxed Ni17As6O32 crystal.

- Energy above the lowest structure with this stoichiometry: 0 meV/atom
- Space group: No. 14

Lattice parameters (Å, degrees): 12.0042 9.9429 10.4374 69.57 90.00 90.00
Closest atoms and distances in Å follow each position.
Fractional positions:
1 O 0.2566 0.3714 0.3818  1 As 1.71
2 O 0.2562 0.6291 0.1193  1 As 1.72
3 O 0.6334 0.8604 0.1359  5 Ni 2.00-2.09
4 As 0.6251 0.4229 0.9428  4 O 1.71-1.77
5 Ni 0.2502 0.7370 0.7557  6 O 2.04-2.16
6 O 0.3666 0.1396 0.8641  5 Ni 2.00-2.09
7 O 0.7434 0.6286 0.6182  1 As 1.71
8 O 0.4938 0.3708 0.3809  1 As 1.72
9 O 0.6237 0.6286 0.3827  1 As 1.71
10 Ni 0.0000 0.0000 0.0000  6 O 2.11-2.14
11 As 0.8761 0.9997 0.2525  6 O 1.83-1.91
12 O 0.6302 0.1202 0.8512  1 As 1.83
13 O 0.0157 0.1200 0.6447  1 As 1.83
14 O 0.5062 0.6292 0.6191  1 As 1.72
15 O 0.5065 0.3716 0.8807  1 As 1.71
16 Ni 0.2504 0.2657 0.2445  6 O 2.00-2.17
17 Ni 0.5012 0.7369 0.7535  6 O 2.04-2.16
18 O 0.8666 0.8604 0.6359  5 Ni 2.00-2.09
19 O 0.6259 0.8874 0.6385  1 As 1.89, 1 Ni 2.12
20 O 0.0062 0.3708 0.8809  1 As 1.72
21 As 0.6248 0.5765 0.5572  4 O 1.71-1.77
22 O 0.6247 0.3711 0.1177  1 As 1.71
23 O 0.1249 0.3873 0.6198  1 As 1.77
24 Ni 0.1251 0.7363 0.0044  6 O 2.04-2.15
25 As 0.8752 0.5765 0.0572  4 O 1.71-1.77
26 O 0.6243 0.3860 0.6214  1 As 1.77
27 O 0.8753 0.3711 0.6177  1 As 1.71
28 O 0.2438 0.6291 0.6193  1 As 1.72
29 Ni 0.6219 0.7426 0.0053  6 O 2.03-2.15
30 As 0.1248 0.4235 0.9428  4 O 1.71-1.77
31 Ni 0.3749 0.7363 0.5044  6 O 2.04-2.15
32 O 0.1302 0.8798 0.6488  1 As 1.83
33 Ni 0.7502 0.2630 0.7443  6 O 2.04-2.16
34 O 0.3751 0.3873 0.1198  1 As 1.77
35 O 0.7562 0.3709 0.3807  1 As 1.72
36 O 0.4934 0.6284 0.1193  1 As 1.71
37 O 0.6249 0.6127 0.8802  1 As 1.77
38 As 0.3761 0.0003 0.2475  6 O 1.83-1.91
39 Ni 0.7439 0.0004 0.0006  6 O 2.08-2.17
40 O 0.1334 0.1396 0.3641  5 Ni 2.00-2.09
41 O 0.7640 0.1148 0.1356  1 As 1.91, 2 Ni 2.11-2.13
42 Ni 0.4988 0.2631 0.2465  6 O 2.04-2.16
43 O 0.7647 0.8857 0.3624  1 As 1.87
44 O 0.7360 0.1148 0.6356  1 As 1.91, 2 Ni 2.11-2.13
45 O 0.4858 0.8847 0.3620  1 As 1.88
46 Ni 0.8781 0.7426 0.5053  6 O 2.03-2.15
47 As 0.1239 0.0003 0.7475  6 O 1.83-1.91
48 O 0.2647 0.1143 0.1376  1 As 1.87
49 O 0.9934 0.3716 0.3807  1 As 1.71
50 O 0.0142 0.8847 0.8620  1 As 1.88
51 Ni 0.7504 0.7343 0.2555  6 O 2.00-2.17
52 Ni 0.0012 0.2631 0.7465  6 O 2.04-2.16
53 O 0.3763 0.3714 0.6173  1 As 1.71
54 Ni 0.2439 0.9996 0.4994  6 O 2.08-2.17
55 Ni 0.1219 0.2574 0.4947  6 O 2.03-2.15
56 O 0.7438 0.3709 0.8807  1 As 1.72
57 O 0.8751 0.6127 0.3802  1 As 1.77
58 As 0.8749 0.4229 0.4428  4 O 1.71-1.77
59 O 0.1247 0.8700 0.1262  6 Ni 2.11-2.18
60 O 0.2640 0.8852 0.3644  1 As 1.91, 2 Ni 2.11-2.13
61 O 0.9843 0.8800 0.3553  1 As 1.83
62 O 0.4843 0.1200 0.1447  1 As 1.83
63 O 0.0066 0.6284 0.6193  1 As 1.71
64 Ni 0.3781 0.2574 0.9947  6 O 2.03-2.15
65 O 0.8763 0.6286 0.8827  1 As 1.71
66 Ni 0.7496 0.7343 0.7555  6 O 2.00-2.17
67 O 0.3741 0.1126 0.3615  1 As 1.89, 1 Ni 2.12
68 Ni 0.6230 0.0007 0.2428  6 O 2.07-2.18
69 Ni 0.2498 0.7370 0.2557  6 O 2.04-2.16
70 Ni 0.1230 0.9993 0.2572  6 O 2.07-2.18
71 Ni 0.2561 0.9996 0.9994  6 O 2.08-2.17
72 O 0.1259 0.1126 0.8615  1 As 1.89, 1 Ni 2.12
73 Ni 0.8770 0.0007 0.7428  6 O 2.07-2.18
74 O 0.5142 0.1153 0.6380  1 As 1.88
75 O 0.8741 0.8874 0.1385  1 As 1.89, 1 Ni 2.12
76 As 0.1251 0.5771 0.5572  4 O 1.71-1.77
77 Ni 0.5005 0.7423 0.2476  6 O 2.03-2.15
78 O 0.1247 0.6289 0.3823  1 As 1.71
79 O 0.7353 0.8857 0.8624  1 As 1.87
80 As 0.3752 0.4235 0.4428  4 O 1.71-1.77
81 O 0.1243 0.6140 0.8786  1 As 1.77
82 Ni 0.3770 0.9993 0.7572  6 O 2.07-2.18
83 Ni 0.9995 0.7423 0.7476  6 O 2.03-2.15
84 O 0.2360 0.8852 0.8644  1 As 1.91, 2 Ni 2.11-2.13
85 O 0.8753 0.1300 0.8738  6 Ni 2.11-2.18
86 O 0.6247 0.1300 0.3738  6 Ni 2.11-2.18
87 O 0.8757 0.3860 0.1214  1 As 1.77
88 O 0.2434 0.3714 0.8818  1 As 1.71
89 Ni 0.4995 0.2577 0.7524  6 O 2.03-2.15
90 O 0.3757 0.6140 0.3786  1 As 1.77
91 O 0.8698 0.1202 0.3512  1 As 1.83
92 Ni 0.7561 0.0004 0.5006  6 O 2.08-2.17
93 O 0.3698 0.8798 0.1488  1 As 1.83
94 O 0.3753 0.6289 0.8823  1 As 1.71
95 O 0.9858 0.1153 0.1380  1 As 1.88
96 As 0.6239 0.9997 0.7525  6 O 1.83-1.91
97 Ni 0.5000 0.0000 0.5000  6 O 2.11-2.14
98 Ni 0.2496 0.2657 0.7445  6 O 2.00-2.17
99 O 0.3753 0.8700 0.6262  6 Ni 2.11-2.18
100 O 0.5157 0.8800 0.8553  1 As 1.83
101 As 0.3749 0.5771 0.0572  4 O 1.71-1.77
102 Ni 0.7498 0.2630 0.2443  6 O 2.04-2.16
103 Ni 0.8749 0.2637 0.9956  6 O 2.04-2.15
104 Ni 0.0005 0.2577 0.2524  6 O 2.03-2.15
105 O 0.1237 0.3714 0.1173  1 As 1.71
106 Ni 0.6251 0.2637 0.4956  6 O 2.04-2.15
107 O 0.7566 0.6286 0.1182  1 As 1.71
108 Ni 0.9988 0.7369 0.2535  6 O 2.04-2.16
109 O 0.2353 0.1143 0.6376  1 As 1.87
110 O 0.9938 0.6292 0.1191  1 As 1.72

---

Entry 3:
DFT (PBE with a Hubbard U) results for a relaxed Ni17As12O48 crystal.

- Space group: No. 5

Lattice parameters (Å, degrees): 10.4717 10.4717 9.7500 89.78 89.78 124.54
Closest atoms and distances in Å follow each position.
Fractional positions:
1 As 0.6708 0.4183 0.2994  4 O 1.71-1.79
2 O 0.0328 0.1226 0.6364  1 As 1.73
3 O 0.3026 0.9183 0.9065  1 As 1.74
4 O 0.8774 0.9672 0.3636  1 As 1.73
5 O 0.9853 0.7788 0.8359  1 As 1.72
6 O 0.7256 0.0153 0.5850  1 As 1.70
7 Ni 0.7272 0.2728 0.0000  6 O 2.05-2.18
8 Ni 0.7772 0.7289 0.7513  6 O 2.03-2.12
9 O 0.5834 0.1977 0.5960  1 As 1.73
10 O 0.4031 0.7887 0.6106  1 As 1.72
11 O 0.5834 0.6892 0.6455  1 As 1.79
12 O 0.9847 0.2744 0.4150  1 As 1.70
13 O 0.8023 0.4166 0.4040  1 As 1.73
14 As 0.5817 0.3292 0.7006  4 O 1.71-1.79
15 O 0.3802 0.9671 0.3858  1 As 1.72
16 O 0.9151 0.3222 0.6727  1 As 1.73
17 Ni 0.8743 0.1240 0.7539  6 O 2.02-2.11
18 O 0.5542 0.7457 0.3887  1 As 1.75
19 Ni 0.3760 0.1251 0.5018  6 O 2.03-2.15
20 O 0.2324 0.9398 0.6296  1 As 1.72
21 O 0.0851 0.2028 0.1596  1 As 1.74
22 O 0.8756 0.4670 0.8845  1 As 1.72
23 O 0.2113 0.5969 0.3894  1 As 1.72
24 As 0.1696 0.4233 0.4512  4 O 1.70-1.79
25 O 0.1782 0.5906 0.8278  1 As 1.72
26 Ni 0.3723 0.1224 0.9974  6 O 2.02-2.09
27 O 0.3108 0.4166 0.3545  1 As 1.79
28 Ni 0.2266 0.7734 0.5000  6 O 2.05-2.13
29 O 0.5588 0.2700 0.8676  1 As 1.71
30 O 0.0602 0.7676 0.3704  1 As 1.72
31 O 0.2237 0.5173 0.0850  1 As 1.72
32 As 0.6712 0.9219 0.9523  4 O 1.72-1.74
33 As 0.0781 0.3288 0.0477  4 O 1.72-1.74
34 Ni 0.2711 0.2228 0.2487  6 O 2.03-2.12
35 O 0.7241 0.5196 0.6618  1 As 1.72
36 Ni 0.8749 0.6240 0.4982  6 O 2.03-2.15
37 O 0.2193 0.1018 0.8551  1 As 1.74
38 O 0.2543 0.4458 0.6113  1 As 1.75
39 Ni 0.7731 0.2269 0.5000  6 O 2.05-2.14
40 As 0.0000 0.5008 0.7511  4 O 1.72-1.73
41 As 0.5014 0.4986 0.0000  4 O 1.72-1.73
42 O 0.6778 0.0849 0.3273  1 As 1.73
43 O 0.0626 0.2680 0.8814  1 As 1.72
44 O 0.3822 0.4677 0.8644  1 As 1.72
45 As 0.1744 0.9236 0.7972  4 O 1.72-1.74
46 O 0.0329 0.6198 0.6142  1 As 1.72
47 O 0.4076 0.3176 0.0763  1 As 1.73
48 As 0.5767 0.8304 0.5488  4 O 1.70-1.79
49 Ni 0.2722 0.7278 0.0000  6 O 2.04-2.12
50 Ni 0.3766 0.6282 0.7529  6 O 2.02-2.14
51 O 0.7972 0.9149 0.8404  1 As 1.74
52 As 0.4992 0.0000 0.2489  4 O 1.72-1.73
53 O 0.5330 0.1244 0.1155  1 As 1.72
54 Ni 0.4882 0.5118 0.5000  4 O 2.09-2.16
55 Ni 0.3718 0.6234 0.2471  6 O 2.02-2.14
56 O 0.1789 0.0928 0.4246  1 As 1.72
57 O 0.2212 0.0147 0.1641  1 As 1.72
58 Ni 0.7261 0.7720 0.2491  6 O 2.02-2.14
59 O 0.9072 0.8211 0.5754  1 As 1.72
60 O 0.9014 0.2865 0.1095  1 As 1.74
61 As 0.0764 0.8256 0.2028  4 O 1.72-1.74
62 O 0.0817 0.6974 0.0935  1 As 1.74
63 Ni 0.2280 0.2739 0.7509  6 O 2.02-2.14
64 O 0.8982 0.7807 0.1449  1 As 1.74
65 O 0.7300 0.4412 0.1324  1 As 1.71
66 O 0.4094 0.8218 0.1722  1 As 1.72
67 O 0.4164 0.3123 0.6282  1 As 1.79
68 O 0.6877 0.5836 0.3718  1 As 1.79
69 Ni 0.8776 0.6277 0.0026  6 O 2.02-2.09
70 O 0.4827 0.7763 0.9150  1 As 1.72
71 O 0.7320 0.9374 0.1186  1 As 1.72
72 O 0.4804 0.2759 0.3382  1 As 1.72
73 Ni 0.8760 0.1257 0.2461  6 O 2.02-2.11
74 O 0.5323 0.6178 0.1356  1 As 1.72
75 As 0.9985 0.0015 0.5000  4 O 1.72-1.73
76 O 0.6824 0.5924 0.9237  1 As 1.73
77 O 0.7135 0.0986 0.8905  1 As 1.74

---

Number 1: energy of formation -1.445 eV/atom. Number 2: energy of formation -1.450 eV/atom. Number 3: energy of formation -1.494 eV/atom.